{"formula": "CsMgAsH12O10", "functional": "r²SCAN", "state": "optimized geometry", "magnetic_moment_mub_per_fu": 0.00, "formation_enthalpy_0k_kj_per_mol_atoms": -133, "dft_energy_ev_per_cell": -179.71, "lattice": [[0.0000, 5.0658, 5.0658], [5.0658, 0.0000, 5.0658], [5.0658, 5.0658, 0.0000]], "species": ["Cs", "Mg", "As", "H", "H", "H", "H", "H", "H", "H", "H", "H", "H", "H", "H", "O", "O", "O", "O", "O", "O", "O", "O", "O", "O"], "fractional_positions": [[0.0000, 0.0000, 0.0000], [0.7500, 0.7500, 0.7500], [0.5000, 0.5000, 0.5000], [0.1245, 0.4889, 0.4889], [0.1245, 0.4889, 0.8977], [0.1245, 0.8977, 0.4889], [0.4889, 0.1245, 0.4889], [0.4889, 0.1245, 0.8977], [0.4889, 0.4889, 0.1245], [0.4889, 0.4889, 0.8977], [0.4889, 0.8977, 0.1245], [0.4889, 0.8977, 0.4889], [0.8977, 0.1245, 0.4889], [0.8977, 0.4889, 0.1245], [0.8977, 0.4889, 0.4889], [0.4031, 0.4031, 0.4031], [0.4031, 0.4031, 0.7906], [0.4031, 0.7906, 0.4031], [0.5454, 0.5454, 0.9546], [0.5454, 0.9546, 0.5454], [0.5454, 0.9546, 0.9546], [0.7906, 0.4031, 0.4031], [0.9546, 0.5454, 0.5454], [0.9546, 0.5454, 0.9546], [0.9546, 0.9546, 0.5454]]}

=====

{"formula": "EuAg4Sb2", "functional": "r²SCAN", "state": "optimized geometry", "magnetic_moment_mub_per_fu": 7.00, "formation_enthalpy_0k_kj_per_mol_atoms": -36, "dft_energy_ev_per_cell": -177.94, "lattice": [[2.3604, 1.3628, 8.2823], [-2.3604, 1.3628, 8.2823], [0.0000, -2.7255, 8.2823]], "species": ["Eu", "Ag", "Ag", "Ag", "Ag", "Sb", "Sb"], "fractional_positions": [[0.0000, 0.0000, 0.0000], [0.1442, 0.1442, 0.1442], [0.4351, 0.4351, 0.4351], [0.5649, 0.5649, 0.5649], [0.8558, 0.8558, 0.8558], [0.2581, 0.2581, 0.2581], [0.7419, 0.7419, 0.7419]]}

=====

{"formula": "GdBRh3", "functional": "r²SCAN", "state": "optimized geometry", "magnetic_moment_mub_per_fu": 6.28, "formation_enthalpy_0k_kj_per_mol_atoms": -77, "dft_energy_ev_per_cell": -127.12, "lattice": [[4.1965, 0.0000, 0.0000], [0.0000, 4.1965, 0.0000], [0.0000, 0.0000, 4.1965]], "species": ["Gd", "B", "Rh", "Rh", "Rh"], "fractional_positions": [[0.0000, 0.0000, 0.0000], [0.5000, 0.5000, 0.5000], [0.0000, 0.5000, 0.5000], [0.5000, 0.0000, 0.5000], [0.5000, 0.5000, 0.0000]]}